Entry 1:
Computed, not measured: a geometry-optimized Cu7Te2S2O20 structure at the GGA-PBE level of DFT.

Unit cell a=7.0813 b=7.6173 c=7.9453 alpha=78.23 beta=77.94 gamma=86.01
Closest atoms and distances in Å follow each position.
Atoms (fractional coordinates):
1 O 0.1508 0.1911 0.9969  1 Cu 1.86, 1 Te 1.91
2 O 0.4078 0.7578 0.5188  1 S 1.46
3 O 0.8055 0.2288 0.6910  1 S 1.47
4 O 0.6184 0.6893 0.8258  2 Cu 1.89-1.95, 1 Te 2.03
5 O 0.4922 0.3640 0.7510  1 S 1.53
6 O 0.0030 0.4237 0.2792  2 Cu 1.90-1.95, 1 Te 1.99
7 O 0.4651 0.9616 0.2301  1 S 1.51
8 O 0.8492 0.8089 0.0031  1 Cu 1.86, 1 Te 1.91
9 O 0.3816 0.3107 0.1742  2 Cu 1.89-1.95, 1 Te 2.03
10 O 0.5349 0.0384 0.7699  1 S 1.51
11 O 0.1945 0.7712 0.3090  1 S 1.47
12 O 0.7983 0.6326 0.4343  2 Cu 1.80-1.81
13 O 0.8648 0.0603 0.2116  2 Cu 1.88-1.90
14 O 0.5078 0.6360 0.2490  1 S 1.53
15 O 0.5922 0.2422 0.4812  1 S 1.46
16 O 0.2816 0.5971 0.9078  3 Cu 1.86-1.90
17 O 0.2017 0.3674 0.5657  2 Cu 1.80-1.81
18 O 0.9970 0.5763 0.7208  2 Cu 1.90-1.95, 1 Te 1.99
19 O 0.1352 0.9397 0.7884  2 Cu 1.88-1.90
20 O 0.7184 0.4029 0.0922  3 Cu 1.86-1.90
21 Cu 0.6193 0.1724 0.1982  4 O 1.90-1.95
22 Cu 0.3807 0.8276 0.8018  4 O 1.90-1.95
23 Cu 0.5000 0.5000 0.0000  4 O 1.89
24 Cu 0.0000 0.5000 0.5000  4 O 1.80-1.95
25 Cu 0.7535 0.5271 0.2622  4 O 1.81-1.90
26 Cu 0.2465 0.4729 0.7378  4 O 1.81-1.90
27 Cu 0.0000 0.0000 0.0000  4 O 1.86-1.88
28 Te 0.1246 0.1873 0.2420  3 O 1.91-2.03
29 Te 0.8754 0.8127 0.7580  3 O 1.91-2.03
30 S 0.6070 0.2174 0.6649  4 O 1.46-1.53
31 S 0.3930 0.7826 0.3351  4 O 1.46-1.53

Computed properties:
ΔE_f = -36.5 eV per formula unit
Energy with MP2020 corrections = -5.77 eV/atom


Entry 2:
Computed, not measured: a geometry-optimized Zn2MoN3 structure at the GGA-PBE level of DFT.

Unit cell a=5.7432 b=5.7432 c=5.2720 alpha=92.30 beta=92.30 gamma=120.01
Closest atoms and distances in Å follow each position.
Atoms (fractional coordinates):
1 Zn 0.8194 0.4944 0.0382  4 N 2.03-2.10
2 Zn 0.4944 0.8194 0.0382  4 N 2.03-2.10
3 Zn 0.5070 0.1717 0.5228  4 N 2.03-2.06
4 Zn 0.1717 0.5070 0.5228  4 N 2.03-2.06
5 Mo 0.1544 0.1544 0.0194  4 N 1.89-2.02
6 Mo 0.8299 0.8299 0.5771  4 N 1.87-2.04
7 N 0.8531 0.8531 0.1936  2 Mo 2.02-2.04, 2 Zn 2.10
8 N 0.8468 0.5207 0.6447  1 Mo 1.87, 3 Zn 2.03-2.09
9 N 0.4700 0.1535 0.1308  1 Mo 1.89, 3 Zn 2.03-2.08
10 N 0.5207 0.8468 0.6447  1 Mo 1.87, 3 Zn 2.03-2.09
11 N 0.1791 0.1791 0.6480  2 Mo 1.97-2.01, 2 Zn 2.04
12 N 0.1535 0.4700 0.1308  1 Mo 1.89, 3 Zn 2.03-2.08

Computed properties:
Energy above the lowest structure with this stoichiometry = 0.0 meV/atom
ΔE_f = -1.9 eV per formula unit
Energy with MP2020 corrections = -6.71 eV/atom


Entry 3:
Computed, not measured: a geometry-optimized SrNdTiNbO6 structure at the GGA-PBE level of DFT.

Unit cell a=5.6739 b=5.6739 c=5.6739 alpha=60.00 beta=60.00 gamma=60.00
Closest atoms and distances in Å follow each position.
Atoms (fractional coordinates):
1 Ti 0.5000 0.5000 0.5000  6 O 1.98
2 Nb 0.0000 0.0000 0.0000  6 O 2.04
3 O 0.2536 0.7464 0.2536  1 Ti 1.98, 1 Nb 2.04
4 O 0.2536 0.7464 0.7464  1 Ti 1.98, 1 Nb 2.04
5 O 0.7464 0.2536 0.2536  1 Ti 1.98, 1 Nb 2.04
6 O 0.2536 0.2536 0.7464  1 Ti 1.98, 1 Nb 2.04
7 O 0.7464 0.2536 0.7464  1 Ti 1.98, 1 Nb 2.04
8 O 0.7464 0.7464 0.2536  1 Ti 1.98, 1 Nb 2.04
9 Nd 0.2500 0.2500 0.2500  12 O 2.84
10 Sr 0.7500 0.7500 0.7500  12 O 2.84

Computed properties:
ΔE_f = -32.9 eV per formula unit
Energy with MP2020 corrections = -8.70 eV/atom